A plane-wave DFT calculation with PBE with a Hubbard U was carried out for crystalline MnGe2O6 at its relaxed geometry.

```
36
Lattice="-1.063 -4.662 -7.470 -4.050 -2.766 2.303 -8.206 5.280 -2.127" Properties=species:S:1:pos:R:3 pbc="T T T"
Mn -2.778 -1.877 -5.379
Mn -8.323 1.954 -1.716
Mn -10.541 -0.272 -1.915
Mn -4.995 -4.103 -5.579
Ge -1.421 -1.729 -2.302
Ge -10.065 0.123 -7.493
Ge -11.898 -0.419 -4.993
Ge -3.254 -2.271 0.198
Ge -7.813 -1.546 -1.559
Ge -7.734 -2.873 -6.007
Ge -5.506 -0.603 -5.736
Ge -5.585 0.725 -1.288
O -6.143 -0.928 -1.459
O -9.258 -2.851 -5.081
O -7.176 -1.220 -5.836
O -4.061 0.703 -2.214
O -4.596 -3.093 -0.579
O -10.855 -0.908 -6.317
O -8.723 0.945 -6.716
O -2.464 -1.240 -0.978
O -5.959 -3.436 -7.144
O -5.787 0.688 -4.477
O -7.360 1.287 -0.150
O -7.532 -2.837 -2.818
O -4.904 -5.924 -5.966
O -10.937 0.212 -3.671
O -8.415 3.775 -1.329
O -2.382 -2.361 -3.624
O -8.427 2.361 -3.726
O -3.032 -3.852 -5.882
O -4.892 -4.510 -3.569
O -10.287 1.703 -1.413
O -8.629 0.029 -2.113
O -6.854 -4.171 -5.010
O -4.690 -2.177 -5.182
O -6.465 2.023 -2.285
```

Results
MP2020-corrected energy: -7.219 eV/atom
Excess energy over the best structure of this formula in the dataset: 28 meV per atom

A plane-wave DFT calculation with PBE with a Hubbard U was carried out for crystalline MnGeO3 at its relaxed geometry.

```
20
Lattice="-0.011 0.000 5.348 -4.927 4.710 1.029 -4.927 -4.710 1.029" Properties=species:S:1:pos:R:3 pbc="T T T"
Mn -4.930 3.796 2.366
Mn -4.930 -2.116 2.366
Mn -4.935 -3.798 5.041
Mn -4.935 2.117 5.041
Ge -6.930 -0.863 5.289
Ge -2.941 -0.863 4.793
Ge -2.935 0.863 2.118
Ge -6.925 0.863 2.615
O -8.693 -0.863 5.250
O -1.178 -0.863 4.831
O -1.172 0.863 2.157
O -8.687 0.863 2.576
O -6.117 -2.238 5.964
O -3.753 -2.238 4.118
O -3.748 2.239 1.443
O -6.112 2.239 3.290
O -6.352 -0.589 3.575
O -3.508 -0.589 1.158
O -3.513 0.589 3.832
O -6.357 0.589 6.249
```

Results
MP2020-corrected energy: -7.849 eV/atom

A plane-wave DFT calculation with PBE with a Hubbard U was carried out for crystalline MnGeO3 at its relaxed geometry.

```
80
Lattice="-5.376 1.380 -0.449 -2.068 -5.732 7.149 2.730 14.734 12.604" Properties=species:S:1:pos:R:3 pbc="T T T"
Mn -4.270 6.626 12.150
Mn -2.168 -2.834 7.543
Mn -2.735 5.547 5.557
Mn -0.255 11.425 13.358
Mn -0.444 3.756 7.154
Mn -2.546 13.215 11.761
Mn -1.979 4.835 13.747
Mn -4.459 -1.043 5.946
Mn -3.250 11.130 14.384
Mn -1.802 0.141 11.708
Mn -3.194 2.596 1.385
Mn -1.182 6.896 11.132
Mn -1.464 -0.749 4.920
Mn -2.912 10.241 7.596
Mn -1.520 7.785 17.919
Mn -3.532 3.486 8.172
Ge -2.128 8.324 14.166
Ge -3.509 -0.207 9.228
Ge -4.889 3.817 3.581
Ge 1.097 8.829 11.634
Ge -2.587 2.057 5.138
Ge -1.205 10.588 10.076
Ge 0.175 6.565 15.723
Ge -5.811 1.552 7.670
Ge -0.315 10.953 16.864
Ge -4.216 3.136 11.638
Ge -1.348 -0.253 1.408
Ge -3.550 6.928 8.699
Ge -4.400 -0.571 2.440
Ge -0.498 7.246 7.666
Ge -3.366 10.635 17.896
Ge -1.164 3.454 10.605
O -2.320 6.972 13.060
O -3.807 -1.498 8.073
O -4.708 5.137 4.726
O 1.406 10.152 12.750
O -2.394 3.410 6.244
O -0.908 11.879 11.231
O -0.006 5.244 14.578
O -6.120 0.230 6.554
O -1.736 9.872 13.474
O -1.616 5.142 3.767
O -6.663 -1.563 9.051
O 0.587 7.312 12.316
O -2.978 0.509 5.830
O -3.098 5.239 15.537
O 1.948 11.945 10.253
O -5.301 3.070 6.988
O -3.682 8.848 14.964
O -1.762 0.310 9.320
O -3.612 2.523 3.741
O -0.373 9.081 10.583
O -1.032 1.533 4.340
O -2.952 10.071 9.984
O -1.102 7.858 15.563
O -4.342 1.300 8.721
O -2.827 -2.429 5.375
O -3.942 4.441 12.795
O 1.175 13.158 12.859
O -3.835 5.593 7.578
O -1.888 12.811 13.929
O -0.773 5.941 6.509
O -5.889 -2.777 6.445
O -0.879 4.788 11.726
O 0.518 11.021 15.344
O -5.274 1.847 12.113
O -1.572 1.365 0.825
O -3.100 6.531 10.326
O -5.232 -0.639 3.960
O 0.560 8.535 7.191
O -3.142 9.017 18.479
O -1.614 3.851 8.978
O -2.119 10.824 16.562
O -2.563 2.447 11.240
O -5.028 0.956 1.636
O 0.282 6.537 9.171
O -2.596 -0.442 2.743
O -2.151 7.934 8.064
O 0.314 9.426 17.669
O -4.996 3.845 10.133
```

Results
MP2020-corrected energy: -7.847 eV/atom

A plane-wave DFT calculation with PBE with a Hubbard U was carried out for crystalline MnGe2O6 at its relaxed geometry.

```
36
Lattice="-1.783 0.474 -5.217 2.916 -9.050 0.301 -7.990 -2.491 2.505" Properties=species:S:1:pos:R:3 pbc="T T T"
Mn 0.874 -8.914 -3.391
Mn -3.171 -5.195 -2.731
Mn -3.687 -5.871 0.319
Mn -7.732 -2.153 0.979
Ge -6.491 -4.921 2.055
Ge -1.930 -7.964 -1.656
Ge -5.989 -8.413 0.184
Ge -4.343 -2.405 -3.827
Ge -0.367 -6.145 -4.466
Ge -4.929 -3.103 -0.756
Ge -0.869 -2.654 -2.596
Ge -2.515 -8.662 1.416
O -8.143 -5.355 -1.671
O -1.798 -8.871 -0.164
O -7.155 -7.828 -0.983
O -3.727 -2.295 0.223
O 1.285 -5.712 -0.740
O -5.059 -2.195 -2.247
O 0.298 -3.239 -1.429
O -3.131 -8.772 -2.635
O -2.312 -3.613 -2.286
O -3.957 -9.621 1.725
O -2.000 -6.145 -3.811
O -6.562 -3.102 -0.101
O -4.546 -7.454 -0.125
O -2.901 -1.446 -4.137
O -4.857 -4.922 1.400
O -0.296 -7.964 -2.311
O -8.798 -2.758 -2.746
O -2.454 -6.274 -1.239
O -5.679 -10.169 -0.165
O -2.250 -4.636 1.041
O 1.940 -8.309 0.335
O -4.404 -4.792 -1.172
O -1.179 -0.898 -2.246
O -4.608 -6.431 -3.452
```

Results
MP2020-corrected energy: -7.247 eV/atom
Excess energy over the best structure of this formula in the dataset: 0 meV per atom

A plane-wave DFT calculation with PBE with a Hubbard U was carried out for crystalline Sr2MnGe2O7 at its relaxed geometry.

```
48
Lattice="8.393 0.000 0.000 0.000 8.393 0.000 0.000 0.000 10.778" Properties=species:S:1:pos:R:3 pbc="T T T"
Sr 6.992 2.796 2.727
Sr 6.992 2.796 8.116
Sr 5.598 6.992 2.661
Sr 5.598 6.992 8.050
Sr 1.401 5.598 2.727
Sr 1.401 5.598 8.116
Sr 2.795 1.401 2.661
Sr 2.795 1.401 8.050
Mn 4.197 4.194 5.390
Mn 0.002 0.001 10.776
Mn 4.196 4.195 10.776
Mn 8.392 8.393 5.389
Ge 3.014 7.211 5.084
Ge 3.014 7.211 10.473
Ge 1.183 3.014 0.305
Ge 1.183 3.014 5.694
Ge 5.379 1.183 5.084
Ge 5.379 1.183 10.473
Ge 7.211 5.379 0.305
Ge 7.211 5.379 5.694
O 0.000 4.197 1.026
O 0.000 4.197 6.415
O 4.197 0.000 4.363
O 4.197 0.000 9.752
O 3.030 7.226 1.436
O 3.030 7.226 6.825
O 1.167 3.030 3.952
O 1.167 3.030 9.341
O 5.364 1.167 1.436
O 5.364 1.167 6.825
O 7.226 5.364 3.952
O 7.226 5.364 9.341
O 2.650 3.516 1.169
O 2.650 3.515 6.558
O 1.546 7.712 4.219
O 1.546 7.712 9.608
O 5.743 4.878 1.169
O 5.743 4.878 6.558
O 6.847 0.681 4.219
O 6.847 0.681 9.608
O 4.878 2.651 4.219
O 4.878 2.651 9.608
O 7.712 6.847 1.170
O 7.712 6.847 6.558
O 3.515 5.743 4.219
O 3.515 5.743 9.608
O 0.681 1.546 1.170
O 0.681 1.546 6.558
```

Results
MP2020-corrected energy: -7.327 eV/atom

Asked for DFT formation energy across the records above, the calculation gives -1875, -2124, -2121, -1903, -2625 meV/atom in order.